(1)
This record from Materials Project describes a geometry-optimized Tl6SCl4 structure. The functional is r²SCAN.

Properties
formation energy: -0.934 eV per atom
calculated volume: 30.539 A^3/atom
total magnetic moment: 0.0 Bohr magnetons per cell

a = 8.5128 Å, b = 8.5128 Å, c = 9.2712 Å
α = 90.00°, β = 90.00°, γ = 90.00°
Sites, in units of the cell vectors:
Tl 0.0000 0.0000 0.1942
Tl 0.0000 0.0000 0.8058
Tl 0.1111 0.3242 0.5000
Tl 0.1758 0.3889 0.0000
Tl 0.3242 0.8889 0.5000
Tl 0.3889 0.8242 0.0000
Tl 0.5000 0.5000 0.3058
Tl 0.5000 0.5000 0.6942
Tl 0.6111 0.1758 0.0000
Tl 0.6758 0.1111 0.5000
Tl 0.8242 0.6111 0.0000
Tl 0.8889 0.6758 0.5000
S 0.0000 0.0000 0.5000
S 0.5000 0.5000 0.0000
Cl 0.1722 0.6722 0.2500
Cl 0.1722 0.6722 0.7500
Cl 0.3278 0.1722 0.2500
Cl 0.3278 0.1722 0.7500
Cl 0.6722 0.8278 0.2500
Cl 0.6722 0.8278 0.7500
Cl 0.8278 0.3278 0.2500
Cl 0.8278 0.3278 0.7500

---

(2)
This record from Materials Project describes a geometry-optimized ErAgS2 structure. The functional is r²SCAN.

Properties
formation energy: -1.537 eV per atom
calculated volume: 22.074 A^3/atom
total magnetic moment: 0.0 Bohr magnetons per cell

a = 7.5670 Å, b = 7.5681 Å, c = 12.3345 Å
α = 90.00°, β = 90.00°, γ = 90.00°
Sites, in units of the cell vectors:
Er 0.9998 0.0000 0.2467
Er 0.0002 0.5000 0.7533
Er 0.2487 0.2503 0.4968
Er 0.2513 0.7510 0.9967
Er 0.5004 0.0013 0.7466
Er 0.4996 0.5013 0.2534
Er 0.7487 0.2510 0.0033
Er 0.7513 0.7503 0.5032
Ag 0.0049 0.9890 0.6886
Ag 0.2319 0.2365 0.9395
Ag 0.2673 0.7637 0.4395
Ag 0.4965 0.0109 0.1885
Ag 0.5035 0.5109 0.8115
Ag 0.7327 0.2637 0.5605
Ag 0.7681 0.7365 0.0605
Ag 0.9951 0.4890 0.3114
S 0.0187 0.4821 0.9741
S 0.0210 0.9793 0.4668
S 0.2275 0.2284 0.7171
S 0.2325 0.2683 0.2762
S 0.2675 0.7329 0.7760
S 0.2725 0.7729 0.2171
S 0.4791 0.0218 0.9668
S 0.4813 0.5191 0.4742
S 0.5187 0.0191 0.5258
S 0.5209 0.5218 0.0332
S 0.7275 0.2729 0.7829
S 0.7325 0.2329 0.2240
S 0.7675 0.7683 0.7238
S 0.7725 0.7284 0.2829
S 0.9790 0.4793 0.5332
S 0.9813 0.9821 0.0259

---

(3)
This record from Materials Project describes a geometry-optimized ZrGeSe structure. The functional is r²SCAN.

Properties
formation energy: -1.182 eV per atom
calculated volume: 19.289 A^3/atom
total magnetic moment: 0.0 Bohr magnetons per cell

a = 3.7190 Å, b = 3.7190 Å, c = 8.3678 Å
α = 90.00°, β = 90.00°, γ = 90.00°
Sites, in units of the cell vectors:
Zr 0.2500 0.2500 0.2390
Zr 0.7500 0.7500 0.7610
Ge 0.2500 0.7500 0.5000
Ge 0.7500 0.2500 0.5000
Se 0.2500 0.2500 0.8775
Se 0.7500 0.7500 0.1225

---

(4)
This record from Materials Project describes a geometry-optimized SrTl2Pt structure. The functional is r²SCAN.

Properties
formation energy: -0.530 eV per atom
calculated volume: 25.865 A^3/atom
total magnetic moment: 0.0 Bohr magnetons per cell

a = 6.0180 Å, b = 6.0180 Å, c = 8.3638 Å
α = 90.00°, β = 90.00°, γ = 136.91°
Sites, in units of the cell vectors:
Sr 0.0650 0.9350 0.7500
Sr 0.9350 0.0650 0.2500
Tl 0.3539 0.6461 0.5511
Tl 0.3539 0.6461 0.9489
Tl 0.6461 0.3539 0.0511
Tl 0.6461 0.3539 0.4489
Pt 0.2213 0.7787 0.2500
Pt 0.7787 0.2213 0.7500

---

(5)
This record from Materials Project describes a geometry-optimized La2InAg structure. The functional is r²SCAN.

Properties
formation energy: -0.460 eV per atom
calculated volume: 29.836 A^3/atom
total magnetic moment: 0.3 Bohr magnetons per cell

a = 5.5263 Å, b = 5.5263 Å, c = 5.5263 Å
α = 60.00°, β = 60.00°, γ = 60.00°
Sites, in units of the cell vectors:
La 0.2500 0.2500 0.2500
La 0.7500 0.7500 0.7500
In 0.0000 0.0000 0.0000
Ag 0.5000 0.5000 0.5000

---

(6)
This record from Materials Project describes a geometry-optimized NaAuI4O12 structure. The functional is r²SCAN.

Properties
formation energy: -0.486 eV per atom
calculated volume: 14.906 A^3/atom
total magnetic moment: 0.0 Bohr magnetons per cell

a = 10.9897 Å, b = 4.4034 Å, c = 12.3626 Å
α = 90.00°, β = 116.24°, γ = 90.00°
Sites, in units of the cell vectors:
Na 0.0000 0.0000 0.0000
Na 0.0000 0.5000 0.5000
Au 0.5000 0.0000 0.5000
Au 0.5000 0.5000 0.0000
I 0.1578 0.0368 0.3208
I 0.1578 0.4632 0.8208
I 0.3204 0.0226 0.6542
I 0.3204 0.4774 0.1542
I 0.6796 0.5226 0.8458
I 0.6796 0.9774 0.3458
I 0.8422 0.5368 0.1792
I 0.8422 0.9632 0.6792
O 0.0557 0.1785 0.8470
O 0.0557 0.3215 0.3470
O 0.1481 0.2250 0.1860
O 0.1481 0.2750 0.6860
O 0.1747 0.6359 0.0287
O 0.1747 0.8641 0.5287
O 0.3224 0.2232 0.4313
O 0.3224 0.2768 0.9313
O 0.3389 0.7345 0.2721
O 0.3389 0.7655 0.7721
O 0.4505 0.6990 0.1213
O 0.4505 0.8010 0.6213
O 0.5495 0.1990 0.3787
O 0.5495 0.3010 0.8787
O 0.6611 0.2345 0.2279
O 0.6611 0.2655 0.7279
O 0.6776 0.7232 0.0687
O 0.6776 0.7768 0.5687
O 0.8253 0.1359 0.4713
O 0.8253 0.3641 0.9713
O 0.8519 0.7250 0.3140
O 0.8519 0.7750 0.8140
O 0.9443 0.6785 0.6530
O 0.9443 0.8215 0.1530

---

(7)
This record from Materials Project describes a geometry-optimized Sm4MgNi structure. The functional is r²SCAN.

Properties
formation energy: -0.174 eV per atom
calculated volume: 27.600 A^3/atom
total magnetic moment: 0.0 Bohr magnetons per cell

a = 9.7846 Å, b = 9.7846 Å, c = 9.7846 Å
α = 60.00°, β = 60.00°, γ = 60.00°
Sites, in units of the cell vectors:
Sm 0.0614 0.0614 0.4386
Sm 0.0614 0.4386 0.0614
Sm 0.0614 0.4386 0.4386
Sm 0.1861 0.1861 0.8139
Sm 0.1861 0.8139 0.1861
Sm 0.1861 0.8139 0.8139
Sm 0.2126 0.5958 0.5958
Sm 0.4386 0.0614 0.0614
Sm 0.4386 0.0614 0.4386
Sm 0.4386 0.4386 0.0614
Sm 0.5958 0.2126 0.5958
Sm 0.5958 0.5958 0.2126
Sm 0.5958 0.5958 0.5958
Sm 0.8139 0.1861 0.1861
Sm 0.8139 0.1861 0.8139
Sm 0.8139 0.8139 0.1861
Mg 0.5131 0.8290 0.8290
Mg 0.8290 0.5131 0.8290
Mg 0.8290 0.8290 0.5131
Mg 0.8290 0.8290 0.8290
Ni 0.3921 0.3921 0.3921
Ni 0.3921 0.3921 0.8236
Ni 0.3921 0.8236 0.3921
Ni 0.8236 0.3921 0.3921

---

(8)
This record from Materials Project describes a geometry-optimized Yb2MgIn structure. The functional is r²SCAN.

Properties
formation energy: -0.362 eV per atom
calculated volume: 24.886 A^3/atom
total magnetic moment: 0.0 Bohr magnetons per cell

a = 5.2021 Å, b = 5.2021 Å, c = 5.2021 Å
α = 60.00°, β = 60.00°, γ = 60.00°
Sites, in units of the cell vectors:
Yb 0.2500 0.2500 0.2500
Yb 0.7500 0.7500 0.7500
Mg 0.0000 0.0000 0.0000
In 0.5000 0.5000 0.5000

---

(9)
This record from Materials Project describes a geometry-optimized YCdAu structure. The functional is r²SCAN.

Properties
formation energy: -0.737 eV per atom
calculated volume: 22.634 A^3/atom
total magnetic moment: 0.0 Bohr magnetons per cell

a = 7.6729 Å, b = 7.6729 Å, c = 3.9952 Å
α = 90.00°, β = 90.00°, γ = 120.00°
Sites, in units of the cell vectors:
Y 0.0000 0.5937 0.0000
Y 0.4063 0.4063 0.0000
Y 0.5937 0.0000 0.0000
Cd 0.0000 0.2573 0.5000
Cd 0.2573 0.0000 0.5000
Cd 0.7427 0.7427 0.5000
Au 0.0000 0.0000 0.0000
Au 0.3333 0.6667 0.5000
Au 0.6667 0.3333 0.5000

---

(10)
This record from Materials Project describes a geometry-optimized PtRh3 structure. The functional is r²SCAN.

Properties
formation energy: -0.025 eV per atom
calculated volume: 14.160 A^3/atom
total magnetic moment: 0.0 Bohr magnetons per cell

a = 4.7061 Å, b = 4.7061 Å, c = 4.7061 Å
α = 131.87°, β = 131.87°, γ = 70.44°
Sites, in units of the cell vectors:
Pt 0.0000 0.0000 0.0000
Rh 0.2500 0.7500 0.5000
Rh 0.5000 0.5000 0.0000
Rh 0.7500 0.2500 0.5000

---

(11)
This record from Materials Project describes a geometry-optimized EuC6 structure. The functional is r²SCAN.

Properties
formation energy: -0.113 eV per atom
calculated volume: 11.037 A^3/atom
total magnetic moment: 14.2 Bohr magnetons per cell

a = 4.3161 Å, b = 4.3161 Å, c = 9.5774 Å
α = 90.00°, β = 90.00°, γ = 120.00°
Sites, in units of the cell vectors:
Eu 0.3333 0.6667 0.2500
Eu 0.6667 0.3333 0.7500
C 0.0000 0.3334 0.0000
C 0.0000 0.3334 0.5000
C 0.0000 0.6666 0.0000
C 0.0000 0.6666 0.5000
C 0.3334 0.0000 0.0000
C 0.3334 0.0000 0.5000
C 0.3334 0.3334 0.0000
C 0.3334 0.3334 0.5000
C 0.6666 0.0000 0.0000
C 0.6666 0.0000 0.5000
C 0.6666 0.6666 0.0000
C 0.6666 0.6666 0.5000

---

(12)
This record from Materials Project describes a geometry-optimized MnZn13 structure. The functional is r²SCAN.

Properties
formation energy: -0.019 eV per atom
calculated volume: 14.369 A^3/atom
total magnetic moment: 2.5 Bohr magnetons per cell

a = 6.5343 Å, b = 6.5343 Å, c = 5.1316 Å
α = 99.03°, β = 99.03°, γ = 69.27°
Sites, in units of the cell vectors:
Mn 0.0000 0.0000 0.0000
Zn 0.0000 0.0000 0.5000
Zn 0.0036 0.6427 0.6967
Zn 0.2213 0.2213 0.8631
Zn 0.2219 0.6195 0.1759
Zn 0.3573 0.9964 0.3033
Zn 0.3805 0.7781 0.8241
Zn 0.3875 0.3875 0.5671
Zn 0.6125 0.6125 0.4329
Zn 0.6195 0.2219 0.1759
Zn 0.6427 0.0036 0.6967
Zn 0.7781 0.3805 0.8241
Zn 0.7787 0.7787 0.1369
Zn 0.9964 0.3573 0.3033

---

Look up the total magnetic moment of the first one.
0.0 Bohr magnetons per cell